1.
Below is an optimized crystal structure of TbSn3, with properties calculated at the PBE-GGA level.

Structure (CIF):
```
data_TbSn3
_chemical_formula_sum 'Tb4 Sn12'
_symmetry_space_group_name_H-M 'P 1'
_symmetry_Int_Tables_number 1
_symmetry_space_group_name_Hall 'P 1'
_cell_length_a 4.466
_cell_length_b 4.437
_cell_length_c 22.205
_cell_angle_alpha 90.00
_cell_angle_beta 90.00
_cell_angle_gamma 90.00
loop_
_atom_site_label
_atom_site_fract_x
_atom_site_fract_y
_atom_site_fract_z
Tb1 0.000 0.000 0.000
Tb2 0.000 0.500 0.500
Tb3 0.500 0.000 0.269
Tb4 0.500 0.500 0.769
Sn1 0.000 0.000 0.383
Sn2 0.000 0.000 0.619
Sn3 0.000 0.000 0.755
Sn4 0.000 0.500 0.119
Sn5 0.000 0.500 0.255
Sn6 0.000 0.500 0.883
Sn7 0.500 0.000 0.119
Sn8 0.500 0.000 0.508
Sn9 0.500 0.000 0.883
Sn10 0.500 0.500 0.008
Sn11 0.500 0.500 0.383
Sn12 0.500 0.500 0.619
```

***

2.
Below is an optimized crystal structure of Na2Ta4Si5SO24, with properties calculated at the PBE-GGA level.

Structure (CIF):
```
data_Na2Ta4Si5SO24
_chemical_formula_sum 'Na6 Ta12 Si15 S3 O72'
_symmetry_space_group_name_H-M 'P 1'
_symmetry_Int_Tables_number 1
_symmetry_space_group_name_Hall 'P 1'
_cell_length_a 8.865
_cell_length_b 8.868
_cell_length_c 22.896
_cell_angle_alpha 89.90
_cell_angle_beta 89.91
_cell_angle_gamma 60.16
loop_
_atom_site_label
_atom_site_fract_x
_atom_site_fract_y
_atom_site_fract_z
Na1 0.000 0.000 0.000
Na2 0.000 0.010 0.489
Na3 0.328 0.338 0.656
Na4 0.332 0.338 0.161
Na5 0.662 0.680 0.828
Na6 0.665 0.670 0.323
Ta1 0.002 0.012 0.345
Ta2 0.004 0.000 0.138
Ta3 0.012 0.981 0.849
Ta4 0.018 0.993 0.634
Ta5 0.340 0.332 0.805
Ta6 0.344 0.323 0.516
Ta7 0.349 0.339 0.019
Ta8 0.351 0.325 0.301
Ta9 0.659 0.680 0.975
Ta10 0.662 0.669 0.472
Ta11 0.668 0.679 0.679
Ta12 0.669 0.670 0.182
Si1 0.003 0.293 0.241
Si2 0.003 0.711 0.742
Si3 0.289 0.716 0.243
Si4 0.291 0.001 0.743
Si5 0.336 0.047 0.409
Si6 0.346 0.615 0.910
Si7 0.378 0.959 0.078
Si8 0.388 0.661 0.577
Si9 0.624 0.048 0.910
Si10 0.626 0.333 0.409
Si11 0.674 0.954 0.575
Si12 0.679 0.382 0.077
Si13 0.723 0.996 0.243
Si14 0.954 0.386 0.576
Si15 0.955 0.669 0.076
S1 0.048 0.335 0.909
S2 0.050 0.622 0.410
S3 0.718 0.288 0.744
O1 0.028 0.179 0.900
O2 0.028 0.811 0.686
O3 0.031 0.797 0.405
O4 0.036 0.168 0.185
O5 0.128 0.517 0.357
O6 0.134 0.359 0.855
O7 0.146 0.365 0.568
O8 0.146 0.495 0.066
O9 0.155 0.304 0.961
O10 0.155 0.540 0.463
O11 0.166 0.020 0.404
O12 0.168 0.033 0.686
O13 0.169 0.806 0.186
O14 0.171 0.812 0.902
O15 0.173 0.313 0.253
O16 0.177 0.521 0.752
O17 0.189 0.976 0.082
O18 0.189 0.983 0.800
O19 0.196 0.837 0.301
O20 0.196 0.838 0.583
O21 0.305 0.530 0.966
O22 0.306 0.525 0.253
O23 0.307 0.168 0.467
O24 0.314 0.172 0.752
O25 0.358 0.497 0.568
O26 0.359 0.146 0.353
O27 0.359 0.150 0.066
O28 0.359 0.501 0.852
O29 0.470 0.839 0.019
O30 0.473 0.699 0.519
O31 0.480 0.695 0.236
O32 0.481 0.826 0.737
O33 0.499 0.146 0.569
O34 0.502 0.142 0.852
O35 0.502 0.364 0.069
O36 0.502 0.366 0.353
O37 0.503 0.637 0.635
O38 0.503 0.869 0.134
O39 0.513 0.857 0.417
O40 0.516 0.638 0.914
O41 0.525 0.313 0.467
O42 0.526 0.170 0.966
O43 0.529 0.171 0.250
O44 0.539 0.307 0.750
O45 0.639 0.868 0.633
O46 0.640 0.504 0.133
O47 0.650 0.504 0.417
O48 0.652 0.852 0.915
O49 0.695 0.465 0.738
O50 0.697 0.829 0.237
O51 0.698 0.475 0.017
O52 0.704 0.834 0.518
O53 0.792 0.184 0.691
O54 0.808 0.032 0.185
O55 0.813 0.038 0.900
O56 0.816 0.158 0.404
O57 0.821 0.207 0.797
O58 0.830 0.482 0.236
O59 0.832 0.688 0.737
O60 0.834 0.476 0.519
O61 0.836 0.696 0.018
O62 0.837 0.973 0.301
O63 0.840 0.981 0.586
O64 0.844 0.189 0.082
O65 0.862 0.505 0.634
O66 0.866 0.638 0.133
O67 0.874 0.640 0.416
O68 0.876 0.492 0.912
O69 0.973 0.194 0.587
O70 0.973 0.201 0.300
O71 0.974 0.833 0.800
O72 0.977 0.839 0.082
```

***

3.
# LaYMg6 PBE-GGA optimized geometry
# - energy above the most stable polymorph in this dataset (eV/f.u.) = 0.00
data_LaYMg6
_chemical_formula_sum 'La1 Y1 Mg6'
_symmetry_space_group_name_H-M 'P 1'
_symmetry_Int_Tables_number 1
_symmetry_space_group_name_Hall 'P 1'
_cell_length_a 9.106
_cell_length_b 9.106
_cell_length_c 9.106
_cell_angle_alpha 33.39
_cell_angle_beta 33.39
_cell_angle_gamma 33.39
loop_
_atom_site_label
_atom_site_fract_x
_atom_site_fract_y
_atom_site_fract_z
La1 0.000 0.000 0.000
Y1 0.500 0.500 0.500
Mg1 0.126 0.126 0.126
Mg2 0.249 0.249 0.249
Mg3 0.377 0.377 0.377
Mg4 0.623 0.623 0.623
Mg5 0.751 0.751 0.751
Mg6 0.874 0.874 0.874

***

4.
Below is an optimized crystal structure of Cr2S3, with properties calculated at the PBE-GGA level.

Structure (CIF):
```
data_Cr2S3
_chemical_formula_sum 'Cr8 S12'
_symmetry_space_group_name_H-M 'P 1'
_symmetry_Int_Tables_number 1
_symmetry_space_group_name_Hall 'P 1'
_cell_length_a 6.026
_cell_length_b 6.026
_cell_length_c 11.265
_cell_angle_alpha 90.00
_cell_angle_beta 90.00
_cell_angle_gamma 120.00
loop_
_atom_site_label
_atom_site_fract_x
_atom_site_fract_y
_atom_site_fract_z
Cr1 0.000 0.000 0.000
Cr2 0.000 0.000 0.500
Cr3 0.333 0.667 0.017
Cr4 0.333 0.667 0.483
Cr5 0.333 0.667 0.750
Cr6 0.667 0.333 0.250
Cr7 0.667 0.333 0.517
Cr8 0.667 0.333 0.983
S1 0.022 0.346 0.883
S2 0.022 0.675 0.617
S3 0.325 0.346 0.617
S4 0.325 0.978 0.883
S5 0.346 0.022 0.383
S6 0.346 0.325 0.117
S7 0.654 0.675 0.883
S8 0.654 0.978 0.617
S9 0.675 0.022 0.117
S10 0.675 0.654 0.383
S11 0.978 0.325 0.383
S12 0.978 0.654 0.117
```

***

| no. | E (eV per cell) | DFT formation energy (eV per atom) | V (Å³ per cell) |
| --- | --- | --- | --- |
| 1 | -72.6 | -0.371 | 440 |
| 2 | -882.6 | -3.072 | 1561 |
| 3 | -21.8 | -0.105 | 204 |
| 4 | -140.7 | -0.993 | 354 |